Entry 1:
A plane-wave DFT calculation with GGA+U was carried out for an optimized crystal structure of Mg14CoBO16.

Computed properties:
Magnetization ... 2.00 μB per cell
Crystal system ... tetragonal
Energy with MP2020 corrections ... -6.330 eV per atom
Energy above the most stable polymorph in this dataset ... 46 meV per atom
E_form ... -2.725 eV per atom

Cell lengths 8.4192, 8.4192, 4.2650 Å; angles 90.00, 90.00, 90.00 degrees
Element x y z (fractional)
1 Mg 0.0000 0.2420 0.0000
2 Mg 0.0000 0.5000 0.5000
3 Mg 0.0000 0.7580 0.0000
4 Mg 0.2420 0.0000 0.0000
5 Mg 0.2518 0.2518 0.5000
6 Mg 0.2518 0.7482 0.5000
7 Mg 0.2549 0.5000 0.0000
8 Mg 0.5000 0.0000 0.5000
9 Mg 0.5000 0.2549 0.0000
10 Mg 0.5000 0.7451 0.0000
11 Mg 0.7451 0.5000 0.0000
12 Mg 0.7482 0.2518 0.5000
13 Mg 0.7482 0.7482 0.5000
14 Mg 0.7580 0.0000 0.0000
15 Co 0.5000 0.5000 0.5000
16 B 0.0000 0.0000 0.5000
17 O 0.0000 0.0000 0.0000
18 O 0.0000 0.2072 0.5000
19 O 0.0000 0.5000 0.0000
20 O 0.0000 0.7928 0.5000
21 O 0.2072 0.0000 0.5000
22 O 0.2314 0.5000 0.5000
23 O 0.2490 0.2490 0.0000
24 O 0.2490 0.7510 0.0000
25 O 0.5000 0.0000 0.0000
26 O 0.5000 0.2314 0.5000
27 O 0.5000 0.5000 0.0000
28 O 0.5000 0.7686 0.5000
29 O 0.7510 0.2490 0.0000
30 O 0.7510 0.7510 0.0000
31 O 0.7686 0.5000 0.5000
32 O 0.7928 0.0000 0.5000



Entry 2:
A plane-wave DFT calculation with GGA+U was carried out for an optimized crystal structure of MnCo5B2O10.

Computed properties:
Magnetization ... 8.00 μB per cell
Crystal system ... orthorhombic
Energy with MP2020 corrections ... -7.654 eV per atom
E_form ... -1.679 eV per atom

Cell lengths 3.0599, 9.3132, 12.5274 Å; angles 90.00, 90.00, 90.00 degrees
Element x y z (fractional)
1 Mn 0.0000 0.0068 0.0000
2 Mn 0.0000 0.9932 0.5000
3 Co 0.0000 0.2553 0.3841
4 Co 0.0000 0.4931 0.7719
5 Co 0.0000 0.5069 0.2719
6 Co 0.0000 0.7447 0.8841
7 Co 0.5000 0.2476 0.1661
8 Co 0.5000 0.2524 0.8839
9 Co 0.5000 0.2560 0.6077
10 Co 0.5000 0.7440 0.1077
11 Co 0.5000 0.7476 0.3839
12 Co 0.5000 0.7524 0.6661
13 B 0.0000 0.0269 0.7465
14 B 0.0000 0.4742 0.0250
15 B 0.0000 0.5258 0.5250
16 B 0.0000 0.9731 0.2465
17 O 0.0000 0.1026 0.8420
18 O 0.0000 0.1038 0.6516
19 O 0.0000 0.1223 0.2453
20 O 0.0000 0.3765 0.5251
21 O 0.0000 0.3990 0.9289
22 O 0.0000 0.3997 0.1213
23 O 0.0000 0.6003 0.6213
24 O 0.0000 0.6010 0.4289
25 O 0.0000 0.6235 0.0251
26 O 0.0000 0.8777 0.7453
27 O 0.0000 0.8962 0.1516
28 O 0.0000 0.8974 0.3420
29 O 0.5000 0.1317 0.4653
30 O 0.5000 0.1369 0.0289
31 O 0.5000 0.3631 0.3075
32 O 0.5000 0.3654 0.7432
33 O 0.5000 0.6346 0.2432
34 O 0.5000 0.6369 0.8075
35 O 0.5000 0.8631 0.5289
36 O 0.5000 0.8683 0.9653



Entry 3:
A plane-wave DFT calculation with GGA+U was carried out for an optimized crystal structure of MnCoB2O5.

Computed properties:
Magnetization ... 4.00 μB per cell
Crystal system ... triclinic
Energy with MP2020 corrections ... -8.380 eV per atom
E_form ... -2.339 eV per atom

Cell lengths 3.2566, 6.2598, 9.5157 Å; angles 104.39, 90.33, 91.31 degrees
Element x y z (fractional)
1 Mn 0.2471 0.2156 0.3623
2 Mn 0.7529 0.7844 0.6377
3 Co 0.2648 0.6272 0.9007
4 Co 0.7352 0.3728 0.0993
5 B 0.1721 0.1204 0.8340
6 B 0.1821 0.6805 0.3472
7 B 0.8179 0.3195 0.6528
8 B 0.8279 0.8796 0.1660
9 O 0.0428 0.8584 0.2937
10 O 0.2249 0.4774 0.2514
11 O 0.2387 0.3033 0.9472
12 O 0.2570 0.7195 0.4916
13 O 0.2868 0.9088 0.8217
14 O 0.7132 0.0912 0.1783
15 O 0.7430 0.2805 0.5084
16 O 0.7613 0.6967 0.0528
17 O 0.7751 0.5226 0.7486
18 O 0.9572 0.1416 0.7063



Entry 4:
A plane-wave DFT calculation with GGA+U was carried out for an optimized crystal structure of Na3CoB2O6.

Computed properties:
Magnetization ... 8.00 μB per cell
Crystal system ... monoclinic
Energy with MP2020 corrections ... -6.679 eV per atom
E_form ... -2.168 eV per atom

Cell lengths 5.5407, 9.5304, 11.5067 Å; angles 90.00, 114.64, 90.00 degrees
Element x y z (fractional)
1 Na 0.0047 0.0285 0.3446
2 Na 0.0047 0.4715 0.8446
3 Na 0.0404 0.1640 0.8771
4 Na 0.0404 0.3360 0.3771
5 Na 0.4241 0.5089 0.6124
6 Na 0.4241 0.9911 0.1124
7 Na 0.5759 0.0089 0.8876
8 Na 0.5759 0.4911 0.3876
9 Na 0.9596 0.6640 0.6229
10 Na 0.9596 0.8360 0.1229
11 Na 0.9953 0.5285 0.1554
12 Na 0.9953 0.9715 0.6554
13 Co 0.4781 0.1731 0.6254
14 Co 0.4781 0.3269 0.1254
15 Co 0.5219 0.6731 0.8746
16 Co 0.5219 0.8269 0.3746
17 B 0.0502 0.6873 0.3810
18 B 0.0502 0.8127 0.8810
19 B 0.4737 0.6523 0.1303
20 B 0.4737 0.8477 0.6303
21 B 0.5263 0.1523 0.3697
22 B 0.5263 0.3477 0.8697
23 B 0.9498 0.1873 0.1190
24 B 0.9498 0.3127 0.6190
25 O 0.1534 0.6926 0.8483
26 O 0.1534 0.8074 0.3483
27 O 0.1690 0.5600 0.3869
28 O 0.1690 0.9400 0.8869
29 O 0.1760 0.2012 0.0951
30 O 0.1760 0.2988 0.5951
31 O 0.3705 0.1732 0.4360
32 O 0.3705 0.3268 0.9360
33 O 0.3878 0.7384 0.6813
34 O 0.3878 0.7616 0.1813
35 O 0.4025 0.5139 0.1491
36 O 0.4025 0.9861 0.6491
37 O 0.5975 0.0139 0.3509
38 O 0.5975 0.4861 0.8509
39 O 0.6122 0.2384 0.8187
40 O 0.6122 0.2616 0.3187
41 O 0.6295 0.6732 0.0640
42 O 0.6295 0.8268 0.5640
43 O 0.8240 0.7012 0.4049
44 O 0.8240 0.7988 0.9049
45 O 0.8310 0.0600 0.1131
46 O 0.8310 0.4400 0.6131
47 O 0.8466 0.1926 0.6517
48 O 0.8466 0.3074 0.1517



Entry 5:
A plane-wave DFT calculation with GGA+U was carried out for an optimized crystal structure of Na2Co2B12O21.

Computed properties:
Magnetization ... 4.00 μB per cell
Crystal system ... monoclinic
Energy with MP2020 corrections ... -8.050 eV per atom
E_form ... -2.620 eV per atom

Cell lengths 11.7405, 11.7405, 17.2761 Å; angles 123.14, 123.14, 22.60 degrees
Element x y z (fractional)
1 Na 0.0911 0.1954 0.4908
2 Na 0.1954 0.0911 0.9908
3 Na 0.8046 0.9089 0.0092
4 Na 0.9089 0.8046 0.5092
5 Co 0.0427 0.0528 0.1049
6 Co 0.0528 0.0427 0.6049
7 Co 0.9472 0.9573 0.3951
8 Co 0.9573 0.9472 0.8951
9 B 0.0556 0.7686 0.2028
10 B 0.0845 0.5856 0.7064
11 B 0.1261 0.3834 0.1824
12 B 0.2314 0.9444 0.2972
13 B 0.3073 0.3703 0.8445
14 B 0.3703 0.3073 0.3445
15 B 0.3834 0.1261 0.6824
16 B 0.4144 0.9155 0.7936
17 B 0.4272 0.4593 0.0076
18 B 0.4330 0.5375 0.1727
19 B 0.4593 0.4272 0.5076
20 B 0.4625 0.5670 0.3273
21 B 0.5375 0.4330 0.6727
22 B 0.5407 0.5728 0.4924
23 B 0.5670 0.4625 0.8273
24 B 0.5728 0.5407 0.9924
25 B 0.5856 0.0845 0.2064
26 B 0.6166 0.8739 0.3176
27 B 0.6297 0.6927 0.6555
28 B 0.6927 0.6297 0.1555
29 B 0.7686 0.0556 0.7028
30 B 0.8739 0.6166 0.8176
31 B 0.9155 0.4144 0.2936
32 B 0.9444 0.2314 0.7972
33 O 0.0865 0.5231 0.8788
34 O 0.0885 0.1978 0.3329
35 O 0.1140 0.4695 0.2760
36 O 0.1362 0.5982 0.8017
37 O 0.1645 0.7549 0.0039
38 O 0.1803 0.6657 0.1389
39 O 0.1837 0.7195 0.2950
40 O 0.1978 0.0885 0.8329
41 O 0.2087 0.3500 0.6452
42 O 0.2451 0.8355 0.4961
43 O 0.2602 0.5304 0.4256
44 O 0.2805 0.8163 0.2050
45 O 0.3343 0.8197 0.3611
46 O 0.3447 0.5988 0.5932
47 O 0.3500 0.2087 0.1452
48 O 0.3790 0.6210 0.7500
49 O 0.4012 0.6553 0.9068
50 O 0.4018 0.8638 0.6983
51 O 0.4695 0.1140 0.7760
52 O 0.4696 0.7398 0.0744
53 O 0.4769 0.9135 0.6212
54 O 0.5231 0.0865 0.3788
55 O 0.5304 0.2602 0.9256
56 O 0.5305 0.8860 0.2240
57 O 0.5982 0.1362 0.3017
58 O 0.5988 0.3447 0.0932
59 O 0.6210 0.3790 0.2500
60 O 0.6500 0.7913 0.8548
61 O 0.6553 0.4012 0.4068
62 O 0.6657 0.1803 0.6389
63 O 0.7195 0.1837 0.7950
64 O 0.7398 0.4696 0.5744
65 O 0.7549 0.1645 0.5039
66 O 0.7913 0.6500 0.3548
67 O 0.8022 0.9115 0.1671
68 O 0.8163 0.2805 0.7050
69 O 0.8197 0.3343 0.8611
70 O 0.8355 0.2451 0.9961
71 O 0.8638 0.4018 0.1983
72 O 0.8860 0.5305 0.7240
73 O 0.9115 0.8022 0.6671
74 O 0.9135 0.4769 0.1212



Entry 6:
A plane-wave DFT calculation with GGA+U was carried out for an optimized crystal structure of NdCoB5O10.

Computed properties:
Magnetization ... 12.00 μB per cell
Crystal system ... monoclinic
Energy with MP2020 corrections ... -8.444 eV per atom
E_form ... -2.871 eV per atom

Cell lengths 8.7895, 7.6771, 12.6391 Å; angles 90.00, 131.23, 90.00 degrees
Element x y z (fractional)
1 Nd 0.0536 0.1867 0.2362
2 Nd 0.0536 0.3133 0.7362
3 Nd 0.9464 0.6867 0.2638
4 Nd 0.9464 0.8133 0.7638
5 Co 0.4744 0.5908 0.8742
6 Co 0.4744 0.9092 0.3742
7 Co 0.5256 0.0908 0.6258
8 Co 0.5256 0.4092 0.1258
9 B 0.0932 0.6728 0.6081
10 B 0.0932 0.8272 0.1081
11 B 0.1557 0.5953 0.0025
12 B 0.1557 0.9047 0.5025
13 B 0.2708 0.0337 0.0526
14 B 0.2708 0.4663 0.5526
15 B 0.3525 0.5798 0.2636
16 B 0.3525 0.9202 0.7636
17 B 0.4857 0.1849 0.9144
18 B 0.4857 0.3151 0.4144
19 B 0.5143 0.6849 0.5856
20 B 0.5143 0.8151 0.0856
21 B 0.6475 0.0798 0.2364
22 B 0.6475 0.4202 0.7364
23 B 0.7292 0.5337 0.4474
24 B 0.7292 0.9663 0.9474
25 B 0.8443 0.0953 0.4975
26 B 0.8443 0.4047 0.9975
27 B 0.9068 0.1728 0.8919
28 B 0.9068 0.3272 0.3919
29 O 0.0296 0.7233 0.9877
30 O 0.0296 0.7767 0.4877
31 O 0.0863 0.1077 0.9150
32 O 0.0863 0.3923 0.4150
33 O 0.1161 0.5429 0.8843
34 O 0.1161 0.9571 0.3843
35 O 0.2116 0.7176 0.2382
36 O 0.2116 0.7824 0.7382
37 O 0.2287 0.5233 0.6443
38 O 0.2287 0.9767 0.1443
39 O 0.3177 0.5341 0.1340
40 O 0.3177 0.9659 0.6340
41 O 0.3199 0.6255 0.5088
42 O 0.3199 0.8745 0.0088
43 O 0.3228 0.0836 0.8098
44 O 0.3228 0.4164 0.3098
45 O 0.4331 0.1541 0.4311
46 O 0.4331 0.3459 0.9311
47 O 0.4436 0.1515 0.1304
48 O 0.4436 0.3485 0.6304
49 O 0.5564 0.6515 0.3696
50 O 0.5564 0.8485 0.8696
51 O 0.5669 0.6541 0.0689
52 O 0.5669 0.8459 0.5689
53 O 0.6772 0.5836 0.6902
54 O 0.6772 0.9164 0.1902
55 O 0.6801 0.1255 0.9912
56 O 0.6801 0.3745 0.4912
57 O 0.6823 0.0341 0.3660
58 O 0.6823 0.4659 0.8660
59 O 0.7713 0.0233 0.8557
60 O 0.7713 0.4767 0.3557
61 O 0.7884 0.2176 0.2618
62 O 0.7884 0.2824 0.7618
63 O 0.8839 0.0429 0.6157
64 O 0.8839 0.4571 0.1157
65 O 0.9137 0.6077 0.5850
66 O 0.9137 0.8923 0.0850
67 O 0.9704 0.2233 0.5123
68 O 0.9704 0.2767 0.0123



Entry 7:
A plane-wave DFT calculation with GGA+U was carried out for an optimized crystal structure of CoBO3.

Computed properties:
Magnetization ... 16.00 μB per cell
Crystal system ... monoclinic
Energy with MP2020 corrections ... -7.669 eV per atom
E_form ... -1.943 eV per atom

Cell lengths 5.1644, 5.1644, 9.9133 Å; angles 90.04, 90.04, 118.69 degrees
Element x y z (fractional)
1 Co 0.0019 0.6777 0.6242
2 Co 0.3223 0.9981 0.8758
3 Co 0.6777 0.0019 0.1242
4 Co 0.9981 0.3223 0.3758
5 B 0.0030 0.6638 0.1241
6 B 0.3362 0.9970 0.3759
7 B 0.6638 0.0030 0.6241
8 B 0.9970 0.3362 0.8759
9 O 0.0205 0.5996 0.8275
10 O 0.1211 0.7311 0.4262
11 O 0.2390 0.2947 0.8749
12 O 0.2689 0.8789 0.0738
13 O 0.2947 0.2390 0.3749
14 O 0.4004 0.9795 0.6725
15 O 0.5996 0.0205 0.3275
16 O 0.7053 0.7610 0.6251
17 O 0.7311 0.1211 0.9262
18 O 0.7610 0.7053 0.1251
19 O 0.8789 0.2689 0.5738
20 O 0.9795 0.4004 0.1725



Entry 8:
A plane-wave DFT calculation with GGA+U was carried out for an optimized crystal structure of CoB4O7.

Computed properties:
Magnetization ... 24.01 μB per cell
Crystal system ... orthorhombic
Energy with MP2020 corrections ... -8.313 eV per atom
Energy above the most stable polymorph in this dataset ... 0 meV per atom
E_form ... -2.608 eV per atom

Cell lengths 8.3108, 8.7709, 13.8795 Å; angles 90.00, 90.00, 90.00 degrees
Element x y z (fractional)
1 Co 0.1110 0.1265 0.1206
2 Co 0.1110 0.3735 0.6206
3 Co 0.3890 0.6265 0.1206
4 Co 0.3890 0.8735 0.6206
5 Co 0.6110 0.1265 0.3794
6 Co 0.6110 0.3735 0.8794
7 Co 0.8890 0.6265 0.3794
8 Co 0.8890 0.8735 0.8794
9 B 0.0257 0.1476 0.7700
10 B 0.0257 0.3524 0.2700
11 B 0.0298 0.5850 0.1678
12 B 0.0298 0.9150 0.6678
13 B 0.0864 0.6994 0.5631
14 B 0.0864 0.8006 0.0631
15 B 0.1631 0.1432 0.4618
16 B 0.1631 0.3568 0.9618
17 B 0.3369 0.6432 0.4618
18 B 0.3369 0.8568 0.9618
19 B 0.4136 0.1994 0.5631
20 B 0.4136 0.3006 0.0631
21 B 0.4702 0.0850 0.1678
22 B 0.4702 0.4150 0.6678
23 B 0.4743 0.6476 0.7700
24 B 0.4743 0.8524 0.2700
25 B 0.5257 0.1476 0.7300
26 B 0.5257 0.3524 0.2300
27 B 0.5298 0.5850 0.3322
28 B 0.5298 0.9150 0.8322
29 B 0.5864 0.6994 0.9369
30 B 0.5864 0.8006 0.4369
31 B 0.6631 0.1432 0.0382
32 B 0.6631 0.3568 0.5382
33 B 0.8369 0.6432 0.0382
34 B 0.8369 0.8568 0.5382
35 B 0.9136 0.1994 0.9369
36 B 0.9136 0.3006 0.4369
37 B 0.9702 0.0850 0.3322
38 B 0.9702 0.4150 0.8322
39 B 0.9743 0.6476 0.7300
40 B 0.9743 0.8524 0.2300
41 O 0.0171 0.1973 0.2493
42 O 0.0171 0.3027 0.7493
43 O 0.0328 0.5919 0.6428
44 O 0.0328 0.9081 0.1428
45 O 0.0618 0.2397 0.9959
46 O 0.0618 0.2603 0.4959
47 O 0.0947 0.0547 0.7041
48 O 0.0947 0.4453 0.2041
49 O 0.1171 0.0572 0.3858
50 O 0.1171 0.4428 0.8858
51 O 0.1520 0.6634 0.1084
52 O 0.1520 0.8366 0.6084
53 O 0.1911 0.6142 0.5031
54 O 0.1911 0.8858 0.0031
55 O 0.3089 0.1142 0.5031
56 O 0.3089 0.3858 0.0031
57 O 0.3480 0.1634 0.1084
58 O 0.3480 0.3366 0.6084
59 O 0.3829 0.5572 0.3858
60 O 0.3829 0.9428 0.8858
61 O 0.4053 0.5547 0.7041
62 O 0.4053 0.9453 0.2041
63 O 0.4382 0.7397 0.9959
64 O 0.4382 0.7603 0.4959
65 O 0.4672 0.0919 0.6428
66 O 0.4672 0.4081 0.1428
67 O 0.4829 0.6973 0.2493
68 O 0.4829 0.8027 0.7493
69 O 0.5171 0.1973 0.2507
70 O 0.5171 0.3027 0.7507
71 O 0.5328 0.5919 0.8572
72 O 0.5328 0.9081 0.3572
73 O 0.5618 0.2397 0.5041
74 O 0.5618 0.2603 0.0041
75 O 0.5947 0.0547 0.7959
76 O 0.5947 0.4453 0.2959
77 O 0.6171 0.0572 0.1142
78 O 0.6171 0.4428 0.6142
79 O 0.6520 0.6634 0.3916
80 O 0.6520 0.8366 0.8916
81 O 0.6911 0.6142 0.9969
82 O 0.6911 0.8858 0.4969
83 O 0.8089 0.1142 0.9969
84 O 0.8089 0.3858 0.4969
85 O 0.8480 0.1634 0.3916
86 O 0.8480 0.3366 0.8916
87 O 0.8829 0.5572 0.1142
88 O 0.8829 0.9428 0.6142
89 O 0.9053 0.5547 0.7959
90 O 0.9053 0.9453 0.2959
91 O 0.9382 0.7397 0.5041
92 O 0.9382 0.7603 0.0041
93 O 0.9672 0.0919 0.8572
94 O 0.9672 0.4081 0.3572
95 O 0.9829 0.6973 0.2507
96 O 0.9829 0.8027 0.7507



Repeat the fourth record exactly.
A plane-wave DFT calculation with GGA+U was carried out for an optimized crystal structure of Na3CoB2O6.

Computed properties:
Magnetization ... 8.00 μB per cell
Crystal system ... monoclinic
Energy with MP2020 corrections ... -6.679 eV per atom
E_form ... -2.168 eV per atom

Cell lengths 5.5407, 9.5304, 11.5067 Å; angles 90.00, 114.64, 90.00 degrees
Element x y z (fractional)
1 Na 0.0047 0.0285 0.3446
2 Na 0.0047 0.4715 0.8446
3 Na 0.0404 0.1640 0.8771
4 Na 0.0404 0.3360 0.3771
5 Na 0.4241 0.5089 0.6124
6 Na 0.4241 0.9911 0.1124
7 Na 0.5759 0.0089 0.8876
8 Na 0.5759 0.4911 0.3876
9 Na 0.9596 0.6640 0.6229
10 Na 0.9596 0.8360 0.1229
11 Na 0.9953 0.5285 0.1554
12 Na 0.9953 0.9715 0.6554
13 Co 0.4781 0.1731 0.6254
14 Co 0.4781 0.3269 0.1254
15 Co 0.5219 0.6731 0.8746
16 Co 0.5219 0.8269 0.3746
17 B 0.0502 0.6873 0.3810
18 B 0.0502 0.8127 0.8810
19 B 0.4737 0.6523 0.1303
20 B 0.4737 0.8477 0.6303
21 B 0.5263 0.1523 0.3697
22 B 0.5263 0.3477 0.8697
23 B 0.9498 0.1873 0.1190
24 B 0.9498 0.3127 0.6190
25 O 0.1534 0.6926 0.8483
26 O 0.1534 0.8074 0.3483
27 O 0.1690 0.5600 0.3869
28 O 0.1690 0.9400 0.8869
29 O 0.1760 0.2012 0.0951
30 O 0.1760 0.2988 0.5951
31 O 0.3705 0.1732 0.4360
32 O 0.3705 0.3268 0.9360
33 O 0.3878 0.7384 0.6813
34 O 0.3878 0.7616 0.1813
35 O 0.4025 0.5139 0.1491
36 O 0.4025 0.9861 0.6491
37 O 0.5975 0.0139 0.3509
38 O 0.5975 0.4861 0.8509
39 O 0.6122 0.2384 0.8187
40 O 0.6122 0.2616 0.3187
41 O 0.6295 0.6732 0.0640
42 O 0.6295 0.8268 0.5640
43 O 0.8240 0.7012 0.4049
44 O 0.8240 0.7988 0.9049
45 O 0.8310 0.0600 0.1131
46 O 0.8310 0.4400 0.6131
47 O 0.8466 0.1926 0.6517
48 O 0.8466 0.3074 0.1517